#one
The following is a DFT calculation (GGA-PBE) of La2MgZnSbO6 after structural relaxation.

Cell and atoms, written as POSCAR:
```
La2MgZnSbO6
1.0
5.856 0.082 2.210
1.742 5.361 2.713
-0.609 0.194 5.629
Sb O Mg Zn La
1 6 1 1 2
direct
0.008 0.116 0.866 Sb
0.367 0.604 0.252 O
0.057 0.449 0.751 O
0.860 0.570 0.207 O
0.564 0.403 0.820 O
0.792 0.013 0.496 O
0.255 0.977 0.594 O
0.129 0.770 0.486 Mg
0.659 0.374 0.464 Zn
0.248 0.343 0.169 La
0.634 0.736 0.842 La
```

Summary:
magnetization: 1.0 μB/f.u.


#two
The following is a DFT calculation (GGA-PBE) of La2MgZnSbO6 after structural relaxation.

Cell and atoms, written as POSCAR:
```
La2MgZnSbO6
1.0
-4.598 5.074 -0.699
-6.588 -0.374 -0.259
-3.857 1.971 4.676
La Zn Mg O Sb
2 1 1 6 1
direct
0.697 0.710 0.732 La
0.325 0.332 0.327 La
0.571 0.531 0.457 Zn
0.074 0.087 0.137 Mg
0.727 0.149 0.416 O
0.617 0.315 0.864 O
0.885 0.597 0.317 O
0.098 0.356 0.776 O
0.306 0.901 0.568 O
0.388 0.725 0.169 O
0.937 0.922 0.873 Sb
```

Summary:
magnetization: 1.0 μB/f.u.


Stability ranking, top entry: #one; the second entry is 0.053 eV/atom less favorable.


#one
The following is a DFT calculation (GGA-PBE) of LaMg6Sn after structural relaxation.

Cell and atoms, written as POSCAR:
```
LaMg6Sn
1.0
-3.006 -0.586 -4.131
2.419 -6.275 -0.869
-8.590 -4.262 6.855
Mg La Sn
12 2 2
direct
0.500 0.000 0.163 Mg
0.000 0.765 0.077 Mg
0.500 0.500 0.663 Mg
0.500 0.251 0.921 Mg
0.000 0.735 0.577 Mg
0.500 0.749 0.921 Mg
0.000 0.000 0.332 Mg
0.000 0.235 0.077 Mg
0.000 0.265 0.577 Mg
0.000 0.500 0.832 Mg
0.500 0.249 0.421 Mg
0.500 0.751 0.421 Mg
0.500 0.500 0.172 La
0.500 0.000 0.672 La
0.000 0.500 0.337 Sn
0.000 0.000 0.837 Sn
```

Summary:
magnetization: 0.0 μB/f.u.


#two
The following is a DFT calculation (GGA-PBE) of LaMg6Sn after structural relaxation.

Cell and atoms, written as POSCAR:
```
LaMg6Sn
1.0
5.254 0.000 0.000
0.000 6.530 0.000
0.000 0.000 11.952
Mg La Sn
12 2 2
direct
0.000 0.754 0.078 Mg
0.500 0.252 0.418 Mg
0.000 0.246 0.078 Mg
0.000 0.254 0.578 Mg
0.000 0.000 0.335 Mg
0.000 0.000 0.839 Mg
0.500 0.748 0.418 Mg
0.000 0.500 0.835 Mg
0.500 0.248 0.918 Mg
0.000 0.500 0.339 Mg
0.500 0.752 0.918 Mg
0.000 0.746 0.578 Mg
0.500 0.000 0.670 La
0.500 0.500 0.170 La
0.500 0.500 0.665 Sn
0.500 0.000 0.165 Sn
```

Summary:
magnetization: 0.0 μB/f.u.


Stability ranking, top entry: #two; the second entry is 0.016 eV/atom less favorable.


#one
The following is a DFT calculation (GGA-PBE) of SrLaMg14 after structural relaxation.

Cell and atoms, written as POSCAR:
```
SrLaMg14
1.0
-3.551 -3.543 4.615
1.807 -2.922 -5.887
8.892 -3.253 4.345
Mg Sr La
14 1 1
direct
0.663 0.326 0.625 Mg
0.342 0.158 0.373 Mg
0.816 0.158 0.877 Mg
0.663 0.326 0.125 Mg
0.342 0.684 0.373 Mg
0.174 0.837 0.625 Mg
0.833 0.667 0.876 Mg
0.342 0.158 0.877 Mg
0.833 0.667 0.374 Mg
0.663 0.837 0.625 Mg
0.663 0.837 0.125 Mg
0.342 0.684 0.877 Mg
0.174 0.837 0.125 Mg
0.816 0.158 0.373 Mg
0.167 0.333 0.625 Sr
0.167 0.333 0.125 La
```

Summary:
magnetization: 0.0 μB/f.u.


#two
The following is a DFT calculation (GGA-PBE) of SrLaMg14 after structural relaxation.

Cell and atoms, written as POSCAR:
```
SrLaMg14
1.0
-0.054 0.712 -6.665
-4.105 -4.381 2.900
-7.461 7.567 0.869
Mg La Sr
14 1 1
direct
0.339 0.172 0.860 Mg
0.339 0.668 0.390 Mg
0.827 0.164 0.380 Mg
0.668 0.834 0.625 Mg
0.165 0.332 0.625 Mg
0.665 0.834 0.125 Mg
0.165 0.833 0.625 Mg
0.824 0.662 0.381 Mg
0.665 0.331 0.125 Mg
0.339 0.668 0.860 Mg
0.668 0.333 0.625 Mg
0.827 0.164 0.870 Mg
0.339 0.172 0.390 Mg
0.824 0.662 0.869 Mg
0.173 0.336 0.125 La
0.171 0.836 0.125 Sr
```

Summary:
magnetization: 0.0 μB/f.u.


Stability ranking, top entry: #one; the second entry is 0.013 eV/atom less favorable.


#one
The following is a DFT calculation (GGA-PBE) of LaMg14W after structural relaxation.

Cell and atoms, written as POSCAR:
```
LaMg14W
1.0
-3.458 0.905 -5.427
5.932 -1.292 -0.570
-2.238 -10.159 -0.268
La Mg W
1 14 1
direct
0.154 0.327 0.125 La
0.662 0.828 0.625 Mg
0.854 0.677 0.359 Mg
0.854 0.677 0.891 Mg
0.162 0.831 0.625 Mg
0.336 0.678 0.376 Mg
0.832 0.166 0.863 Mg
0.654 0.322 0.125 Mg
0.336 0.158 0.376 Mg
0.336 0.678 0.874 Mg
0.662 0.334 0.625 Mg
0.832 0.166 0.387 Mg
0.336 0.158 0.874 Mg
0.166 0.333 0.625 Mg
0.654 0.832 0.125 Mg
0.169 0.835 0.125 W
```

Summary:
magnetization: 0.0 μB/f.u.


#two
The following is a DFT calculation (GGA-PBE) of LaMg14W after structural relaxation.

Cell and atoms, written as POSCAR:
```
LaMg14W
1.0
-0.312 5.431 -3.499
-5.146 -3.900 0.384
-3.256 5.105 8.214
W Mg La
1 14 1
direct
0.167 0.333 0.625 W
0.180 0.840 0.125 Mg
0.833 0.667 0.884 Mg
0.330 0.660 0.394 Mg
0.330 0.170 0.394 Mg
0.840 0.170 0.394 Mg
0.330 0.170 0.856 Mg
0.330 0.660 0.856 Mg
0.660 0.320 0.125 Mg
0.162 0.831 0.625 Mg
0.840 0.170 0.856 Mg
0.660 0.840 0.125 Mg
0.669 0.831 0.625 Mg
0.833 0.667 0.366 Mg
0.669 0.338 0.625 Mg
0.167 0.333 0.125 La
```

Summary:
magnetization: 1.4 μB/f.u.


Stability ranking, top entry: #one; the second entry is 0.045 eV/atom less favorable.